(1)
## Na4Y2Zn2SiS5O24 (PBE)

Data for an optimized crystal structure of Na4Y2Zn2SiS5O24.

```
data_Na4Y2Zn2SiS5O24
_chemical_formula_sum 'Na12 Y6 Zn6 Si3 S15 O72'
_cell_length_a 9.1042
_cell_length_b 9.1091
_cell_length_c 23.2778
_cell_angle_alpha 89.53
_cell_angle_beta 89.76
_cell_angle_gamma 60.42
_symmetry_space_group_name_H-M 'P 1'
_symmetry_Int_Tables_number 1
_symmetry_space_group_name_Hall 'P 1'
loop_
_atom_site_label
_atom_site_type_symbol
_atom_site_fract_x
_atom_site_fract_y
_atom_site_fract_z
Na1 Na 0.0000 0.0000 0.0000
Na2 Na 0.0048 0.9997 0.4853
Na3 Na 0.0315 0.6756 0.0890
Na4 Na 0.0460 0.2954 0.5770
Na5 Na 0.3080 0.6776 0.5680
Na6 Na 0.3186 0.3516 0.1628
Na7 Na 0.3358 0.3106 0.6596
Na8 Na 0.3465 0.0121 0.7395
Na9 Na 0.6587 0.9896 0.2533
Na10 Na 0.6821 0.6490 0.8334
Na11 Na 0.6894 0.6513 0.3265
Na12 Na 0.9678 0.3278 0.9100
Y1 Y 0.3149 0.3517 0.3099
Y2 Y 0.3283 0.3383 0.8177
Y3 Y 0.6570 0.6810 0.4767
Y4 Y 0.6688 0.6606 0.1789
Y5 Y 0.6725 0.6645 0.6835
Y6 Y 0.9975 0.0085 0.6490
Zn1 Zn 0.0026 0.9837 0.3413
Zn2 Zn 0.0089 0.9935 0.1575
Zn3 Zn 0.3450 0.2950 0.5081
Zn4 Zn 0.3459 0.3245 0.0118
Zn5 Zn 0.6558 0.6743 0.9849
Zn6 Zn 0.9896 0.0122 0.8445
Si1 Si 0.3651 0.9744 0.5835
Si2 Si 0.9960 0.7129 0.2422
Si3 Si 0.9976 0.3027 0.7531
S1 S 0.0273 0.6396 0.9190
S2 S 0.0340 0.3221 0.4162
S3 S 0.2908 0.0000 0.2472
S4 S 0.2920 0.7071 0.7498
S5 S 0.3238 0.6329 0.4178
S6 S 0.3365 0.0299 0.9178
S7 S 0.3650 0.6638 0.0755
S8 S 0.6358 0.3352 0.9185
S9 S 0.6386 0.0441 0.4112
S10 S 0.6577 0.3712 0.5784
S11 S 0.6625 0.9685 0.0765
S12 S 0.7039 0.9985 0.7524
S13 S 0.7166 0.2844 0.2480
S14 S 0.9705 0.3640 0.0750
S15 S 0.9747 0.6602 0.5779
O1 O 0.0086 0.8090 0.9092
O2 O 0.0130 0.7910 0.1803
O3 O 0.0194 0.1954 0.6934
O4 O 0.0199 0.1685 0.4103
O5 O 0.1124 0.5266 0.8682
O6 O 0.1230 0.3432 0.3661
O7 O 0.1264 0.3111 0.4706
O8 O 0.1308 0.5598 0.9712
O9 O 0.1380 0.3591 0.0717
O10 O 0.1459 0.5111 0.5739
O11 O 0.1621 0.5231 0.2464
O12 O 0.1734 0.8036 0.4134
O13 O 0.1736 0.9909 0.5815
O14 O 0.1788 0.0182 0.9145
O15 O 0.1790 0.3056 0.7531
O16 O 0.1906 0.0284 0.1944
O17 O 0.1950 0.8173 0.0787
O18 O 0.1979 0.8122 0.7988
O19 O 0.2007 0.7765 0.6943
O20 O 0.2086 0.9875 0.3003
O21 O 0.3116 0.1493 0.9652
O22 O 0.3149 0.5479 0.4717
O23 O 0.3237 0.5319 0.7541
O24 O 0.3279 0.1436 0.2510
O25 O 0.3374 0.5302 0.3670
O26 O 0.3376 0.1653 0.5742
O27 O 0.3416 0.5115 0.0726
O28 O 0.3595 0.1027 0.8623
O29 O 0.4545 0.6775 0.0243
O30 O 0.4578 0.7040 0.7472
O31 O 0.4602 0.8962 0.6450
O32 O 0.4608 0.8441 0.2425
O33 O 0.4641 0.6447 0.1285
O34 O 0.4657 0.8386 0.5324
O35 O 0.4812 0.6470 0.4171
O36 O 0.4885 0.8615 0.9245
O37 O 0.4990 0.3672 0.5715
O38 O 0.5087 0.1367 0.0706
O39 O 0.5343 0.1534 0.7551
O40 O 0.5389 0.3544 0.8650
O41 O 0.5400 0.1230 0.3583
O42 O 0.5451 0.3201 0.9690
O43 O 0.5490 0.2883 0.2520
O44 O 0.5499 0.1423 0.4632
O45 O 0.6393 0.4730 0.6306
O46 O 0.6408 0.8927 0.1316
O47 O 0.6555 0.8714 0.4148
O48 O 0.6601 0.4866 0.9221
O49 O 0.6729 0.8521 0.7502
O50 O 0.6808 0.4626 0.2428
O51 O 0.6862 0.8520 0.0283
O52 O 0.6953 0.4492 0.5282
O53 O 0.7826 0.0090 0.6978
O54 O 0.7968 0.1884 0.1953
O55 O 0.8058 0.1993 0.5842
O56 O 0.8075 0.0287 0.4096
O57 O 0.8069 0.1811 0.9156
O58 O 0.8079 0.9781 0.8028
O59 O 0.8161 0.2118 0.3007
O60 O 0.8181 0.9821 0.0796
O61 O 0.8204 0.6970 0.2414
O62 O 0.8321 0.4912 0.7488
O63 O 0.8597 0.6454 0.9224
O64 O 0.8630 0.4761 0.4177
O65 O 0.8689 0.4424 0.0221
O66 O 0.8723 0.6769 0.5268
O67 O 0.8836 0.4779 0.1253
O68 O 0.8934 0.6348 0.6299
O69 O 0.9608 0.8355 0.2970
O70 O 0.9864 0.2072 0.8114
O71 O 0.9901 0.1947 0.0846
O72 O 0.9903 0.8143 0.5828
```

=====

(2)
## Nb5Ni (PBE)

Data for an optimized crystal structure of Nb5Ni.

```
data_Nb5Ni
_chemical_formula_sum 'Nb20 Ni4'
_cell_length_a 8.4358
_cell_length_b 8.4358
_cell_length_c 8.4358
_cell_angle_alpha 60.00
_cell_angle_beta 60.00
_cell_angle_gamma 60.00
_symmetry_space_group_name_H-M 'P 1'
_symmetry_Int_Tables_number 1
_symmetry_space_group_name_Hall 'P 1'
loop_
_atom_site_label
_atom_site_type_symbol
_atom_site_fract_x
_atom_site_fract_y
_atom_site_fract_z
Nb1 Nb 0.1433 0.7856 0.7856
Nb2 Nb 0.1906 0.1906 0.5594
Nb3 Nb 0.1906 0.5594 0.1906
Nb4 Nb 0.1906 0.5594 0.5594
Nb5 Nb 0.2144 0.2144 0.2144
Nb6 Nb 0.2144 0.2144 0.8567
Nb7 Nb 0.2144 0.8567 0.2144
Nb8 Nb 0.4406 0.4406 0.8094
Nb9 Nb 0.4406 0.8094 0.4406
Nb10 Nb 0.4406 0.8094 0.8094
Nb11 Nb 0.5594 0.1906 0.1906
Nb12 Nb 0.5594 0.1906 0.5594
Nb13 Nb 0.5594 0.5594 0.1906
Nb14 Nb 0.7856 0.1433 0.7856
Nb15 Nb 0.7856 0.7856 0.1433
Nb16 Nb 0.7856 0.7856 0.7856
Nb17 Nb 0.8094 0.4406 0.4406
Nb18 Nb 0.8094 0.4406 0.8094
Nb19 Nb 0.8094 0.8094 0.4406
Nb20 Nb 0.8567 0.2144 0.2144
Ni1 Ni 0.0000 0.0000 0.0000
Ni2 Ni 0.0000 0.0000 0.5000
Ni3 Ni 0.0000 0.5000 0.0000
Ni4 Ni 0.5000 0.0000 0.0000
```

=====

(3)
## Y2MgCu4O8 (PBE)

Data for an optimized crystal structure of Y2MgCu4O8.

```
data_Y2MgCu4O8
_chemical_formula_sum 'Y2 Mg1 Cu4 O8'
_cell_length_a 5.6825
_cell_length_b 5.6878
_cell_length_c 6.8621
_cell_angle_alpha 114.23
_cell_angle_beta 112.26
_cell_angle_gamma 90.04
_symmetry_space_group_name_H-M 'P 1'
_symmetry_Int_Tables_number 1
_symmetry_space_group_name_Hall 'P 1'
loop_
_atom_site_label
_atom_site_type_symbol
_atom_site_fract_x
_atom_site_fract_y
_atom_site_fract_z
Y1 Y 0.0000 0.0000 0.0000
Y2 Y 0.2509 0.7338 0.4975
Mg1 Mg 0.7573 0.2203 0.4965
Cu1 Cu 0.1897 0.3807 0.8256
Cu2 Cu 0.5490 0.7989 0.1533
Cu3 Cu 0.6136 0.3659 0.1884
Cu4 Cu 0.6403 0.4295 0.8253
O1 O 0.0095 0.0358 0.6559
O2 O 0.2564 0.7177 0.8606
O3 O 0.2716 0.3919 0.1324
O4 O 0.3958 0.9885 0.3508
O5 O 0.6077 0.1399 0.8793
O6 O 0.6439 0.5839 0.6339
O7 O 0.8544 0.7275 0.1218
O8 O 0.9535 0.3408 0.3468
```

=====

Number 1: formation energy from the elements -2368.5 meV/atom. Number 2: formation energy from the elements 139.0 meV/atom. Number 3: formation energy from the elements -1944.2 meV/atom.